This record from Materials Project describes a relaxed KNaCa2Si8O24 crystal. The functional is PBE.

DFT total energy (eV per atom): -7.020
Formation energy from the elements (meV/atom): -2444
MP2020-corrected energy (eV per cell): -513.1

Cell: 6.837 24.020 7.089 Å, 90.00 90.06 90.00°
Sites, in units of the cell vectors:
K  0.082  0.000  0.251
K  0.918  0.500  0.749
Na  0.471  0.246  0.510
Na  0.529  0.746  0.490
Ca  0.040  0.256  0.241
Ca  0.053  0.739  0.248
Ca  0.947  0.239  0.752
Ca  0.960  0.756  0.759
Si  0.045  0.432  0.247
Si  0.048  0.566  0.247
Si  0.210  0.134  0.030
Si  0.211  0.135  0.474
Si  0.213  0.864  0.031
Si  0.217  0.864  0.473
Si  0.431  0.358  0.248
Si  0.435  0.639  0.246
Si  0.565  0.139  0.754
Si  0.569  0.858  0.752
Si  0.783  0.364  0.527
Si  0.787  0.364  0.969
Si  0.789  0.635  0.526
Si  0.790  0.634  0.970
Si  0.952  0.066  0.753
Si  0.955  0.932  0.753
O  0.063  0.086  0.561
O  0.064  0.499  0.258
O  0.067  0.913  0.560
O  0.080  0.081  0.941
O  0.086  0.917  0.940
O  0.100  0.806  0.009
O  0.103  0.193  0.998
O  0.132  0.802  0.499
O  0.135  0.198  0.504
O  0.228  0.116  0.253
O  0.237  0.884  0.252
O  0.260  0.378  0.744
O  0.262  0.406  0.235
O  0.267  0.590  0.236
O  0.270  0.327  0.734
O  0.292  0.723  0.710
O  0.336  0.297  0.271
O  0.345  0.700  0.267
O  0.348  0.546  0.703
O  0.427  0.125  0.568
O  0.431  0.130  0.943
O  0.432  0.866  0.941
O  0.433  0.873  0.567
O  0.469  0.517  0.622
O  0.531  0.017  0.378
O  0.567  0.373  0.433
O  0.568  0.366  0.059
O  0.569  0.630  0.057
O  0.573  0.625  0.432
O  0.652  0.046  0.297
O  0.655  0.200  0.733
O  0.664  0.797  0.729
O  0.708  0.223  0.290
O  0.730  0.827  0.266
O  0.733  0.090  0.764
O  0.738  0.906  0.765
O  0.740  0.878  0.256
O  0.763  0.384  0.748
O  0.772  0.616  0.747
O  0.865  0.698  0.496
O  0.868  0.302  0.501
O  0.897  0.693  0.002
O  0.900  0.306  0.991
O  0.914  0.417  0.060
O  0.920  0.581  0.059
O  0.933  0.413  0.440
O  0.936  0.999  0.742
O  0.937  0.586  0.439



This record from Materials Project describes a relaxed Nb3Se12I crystal. The functional is PBE.

DFT total energy (eV per atom): -5.170
Formation energy from the elements (meV/atom): -583
MP2020-corrected energy (eV per cell): -332.4

Cell: 9.785 9.785 19.417 Å, 90.00 90.00 90.00°
Sites, in units of the cell vectors:
Nb  0.000  0.500  0.072
Nb  0.000  0.500  0.240
Nb  0.000  0.500  0.411
Nb  0.000  0.500  0.572
Nb  0.000  0.500  0.740
Nb  0.000  0.500  0.911
Nb  0.500  0.000  0.089
Nb  0.500  0.000  0.260
Nb  0.500  0.000  0.428
Nb  0.500  0.000  0.589
Nb  0.500  0.000  0.760
Nb  0.500  0.000  0.928
Se  0.018  0.281  0.491
Se  0.045  0.710  0.319
Se  0.049  0.711  0.662
Se  0.105  0.696  0.991
Se  0.123  0.317  0.831
Se  0.126  0.319  0.152
Se  0.181  0.374  0.652
Se  0.183  0.377  0.331
Se  0.196  0.605  0.491
Se  0.210  0.545  0.819
Se  0.211  0.549  0.162
Se  0.219  0.482  0.991
Se  0.281  0.982  0.509
Se  0.289  0.049  0.338
Se  0.290  0.045  0.681
Se  0.304  0.105  0.009
Se  0.317  0.877  0.169
Se  0.319  0.874  0.848
Se  0.374  0.819  0.348
Se  0.377  0.817  0.669
Se  0.395  0.196  0.509
Se  0.451  0.211  0.838
Se  0.455  0.210  0.181
Se  0.482  0.781  0.009
Se  0.518  0.219  0.009
Se  0.545  0.790  0.181
Se  0.549  0.789  0.838
Se  0.605  0.804  0.509
Se  0.623  0.183  0.669
Se  0.626  0.181  0.348
Se  0.681  0.126  0.848
Se  0.683  0.123  0.169
Se  0.696  0.895  0.009
Se  0.710  0.955  0.681
Se  0.711  0.951  0.338
Se  0.719  0.018  0.509
Se  0.781  0.518  0.991
Se  0.789  0.451  0.162
Se  0.790  0.455  0.819
Se  0.804  0.395  0.491
Se  0.817  0.623  0.331
Se  0.819  0.626  0.652
Se  0.874  0.681  0.152
Se  0.877  0.683  0.831
Se  0.895  0.304  0.991
Se  0.951  0.289  0.662
Se  0.955  0.290  0.319
Se  0.982  0.719  0.491
I  0.000  0.000  0.130
I  0.000  0.000  0.870
I  0.500  0.500  0.370
I  0.500  0.500  0.630



This record from Materials Project describes a relaxed TiAl4Ni15 crystal. The functional is PBE.

DFT total energy (eV per atom): -5.923
Formation energy from the elements (meV/atom): -444

Cell: 3.552 3.552 17.688 Å, 90.00 90.00 90.00°
Sites, in units of the cell vectors:
Ti  0.000  0.000  0.000
Al  0.000  0.000  0.201
Al  0.000  0.000  0.399
Al  0.000  0.000  0.601
Al  0.000  0.000  0.799
Ni  0.000  0.500  0.101
Ni  0.000  0.500  0.300
Ni  0.000  0.500  0.500
Ni  0.000  0.500  0.700
Ni  0.000  0.500  0.899
Ni  0.500  0.000  0.101
Ni  0.500  0.000  0.300
Ni  0.500  0.000  0.500
Ni  0.500  0.000  0.700
Ni  0.500  0.000  0.899
Ni  0.500  0.500  0.000
Ni  0.500  0.500  0.201
Ni  0.500  0.500  0.400
Ni  0.500  0.500  0.600
Ni  0.500  0.500  0.799



This record from Materials Project describes a relaxed MgCu4Cl2O6 crystal. The functional is PBE.

ΔE to the lowest computed polymorph (eV per atom): 0.0510
DFT total energy (eV per atom): -4.605
Formation energy from the elements (meV/atom): -970
MP2020-corrected energy (eV per cell): -64.0

Cell: 6.325 6.325 5.698 Å, 116.58 116.58 58.43°
Sites, in units of the cell vectors:
Mg  0.000  0.000  0.000
Cu  0.000  0.500  0.501
Cu  0.499  0.501  0.500
Cu  0.500  0.000  0.499
Cu  0.500  0.500  0.000
Cl  0.244  0.247  0.106
Cl  0.753  0.756  0.894
O  0.204  0.205  0.602
O  0.240  0.661  0.731
O  0.339  0.760  0.269
O  0.660  0.241  0.730
O  0.759  0.340  0.270
O  0.795  0.796  0.398



This record from Materials Project describes a relaxed Sm2In8Co crystal. The functional is PBE.

DFT total energy (eV per atom): -3.830
Formation energy from the elements (meV/atom): -324

Cell: 4.653 4.653 12.158 Å, 90.00 90.00 90.00°
Sites, in units of the cell vectors:
Sm  0.000  0.000  0.194
Sm  0.000  0.000  0.806
In  0.000  0.500  0.000
In  0.000  0.500  0.382
In  0.000  0.500  0.618
In  0.500  0.000  0.000
In  0.500  0.000  0.382
In  0.500  0.000  0.618
In  0.500  0.500  0.198
In  0.500  0.500  0.802
Co  0.000  0.000  0.500



This record from Materials Project describes a relaxed Na3Mg2In2PS5O24 crystal. The functional is PBE.

DFT total energy (eV per atom): -6.058
Formation energy from the elements (meV/atom): -2247
MP2020-corrected energy (eV per cell): -721.9

Cell: 8.794 8.795 23.002 Å, 89.95 89.91 60.03°
Sites, in units of the cell vectors:
Na  0.000  0.000  0.000
Na  0.001  0.986  0.499
Na  0.008  0.340  0.246
Na  0.034  0.632  0.085
Na  0.309  0.645  0.578
Na  0.341  0.276  0.663
Na  0.345  0.302  0.163
Na  0.665  0.654  0.330
Na  0.670  0.638  0.829
Mg  0.003  0.975  0.147
Mg  0.004  0.980  0.647
Mg  0.334  0.299  0.012
Mg  0.336  0.315  0.312
Mg  0.337  0.289  0.513
Mg  0.337  0.303  0.812
In  0.003  0.961  0.347
In  0.003  0.974  0.847
In  0.667  0.645  0.479
In  0.668  0.645  0.679
In  0.672  0.642  0.177
In  0.675  0.628  0.979
P  0.006  0.671  0.243
P  0.365  0.941  0.580
P  0.977  0.331  0.080
S  0.004  0.271  0.746
S  0.042  0.305  0.411
S  0.047  0.597  0.913
S  0.299  0.972  0.247
S  0.300  0.670  0.745
S  0.339  0.011  0.912
S  0.339  0.594  0.415
S  0.367  0.639  0.079
S  0.624  0.304  0.912
S  0.626  0.017  0.412
S  0.668  0.944  0.078
S  0.671  0.336  0.579
S  0.705  0.265  0.246
S  0.707  0.975  0.746
S  0.975  0.637  0.580
O  0.021  0.758  0.188
O  0.022  0.145  0.410
O  0.022  0.163  0.695
O  0.028  0.777  0.910
O  0.122  0.320  0.357
O  0.136  0.493  0.862
O  0.139  0.518  0.968
O  0.145  0.290  0.463
O  0.153  0.325  0.072
O  0.154  0.485  0.572
O  0.163  0.286  0.752
O  0.169  0.484  0.250
O  0.178  0.992  0.910
O  0.180  0.775  0.413
O  0.186  0.951  0.588
O  0.186  0.999  0.197
O  0.189  0.792  0.086
O  0.199  0.756  0.692
O  0.219  0.780  0.798
O  0.225  0.946  0.301
O  0.314  0.497  0.752
O  0.316  0.131  0.252
O  0.322  0.110  0.965
O  0.327  0.512  0.469
O  0.346  0.121  0.572
O  0.348  0.495  0.363
O  0.351  0.480  0.072
O  0.353  0.095  0.859
O  0.445  0.814  0.527
O  0.446  0.673  0.027
O  0.475  0.612  0.132
O  0.476  0.814  0.241
O  0.480  0.648  0.743
O  0.482  0.861  0.635
O  0.499  0.831  0.916
O  0.501  0.611  0.415
O  0.507  0.330  0.571
O  0.517  0.120  0.070
O  0.528  0.103  0.359
O  0.528  0.315  0.859
O  0.532  0.132  0.751
O  0.533  0.279  0.254
O  0.540  0.292  0.966
O  0.542  0.112  0.466
O  0.629  0.871  0.131
O  0.636  0.452  0.631
O  0.643  0.466  0.913
O  0.649  0.835  0.414
O  0.685  0.446  0.241
O  0.689  0.814  0.743
O  0.702  0.826  0.027
O  0.709  0.413  0.527
O  0.794  0.160  0.195
O  0.798  0.989  0.695
O  0.806  0.145  0.911
O  0.806  0.999  0.411
O  0.809  0.948  0.801
O  0.818  0.194  0.299
O  0.821  0.160  0.588
O  0.832  0.950  0.086
O  0.841  0.644  0.242
O  0.845  0.450  0.741
O  0.855  0.419  0.027
O  0.862  0.466  0.415
O  0.865  0.619  0.914
O  0.866  0.666  0.527
O  0.899  0.600  0.631
O  0.900  0.448  0.136
O  0.973  0.198  0.800
O  0.976  0.780  0.299
O  0.990  0.796  0.588
O  0.995  0.150  0.088